ThTe2I2 (PBE, relaxed); calculated formation energy = -1.18 eV per atom; E (MP2020) = -45.25 eV/cell; density = 5.66 g/cm³; DFT total energy = -4.373 eV per atom; symmetry = C2/m, No. 12
1.0
-4.5764 6.8289 -0.4022
-3.1880 -7.4851 1.2448
-1.8855 0.7213 7.8579
Th I Te
2 4 4
Cartesian
-5.3209 5.1457 3.7619
-4.3290 -5.0807 4.9386
-3.4827 3.3850 5.6889
-6.1671 -3.3199 3.0116
-6.7492 2.6806 2.3212
-2.9007 -2.6155 6.3794
-6.3442 0.0022 5.3676
-1.2614 0.0476 1.4772
-8.3884 0.0175 7.2233
-3.3056 0.0629 3.3329

TiI3 (PBE, relaxed); calculated formation energy = -1.08 eV per atom; E (MP2020) = -33.61 eV/cell; density = 4.27 g/cm³; DFT total energy = -3.917 eV per atom; symmetry = P6_3/mcm, No. 193
1.0
3.8723 -6.7069 0.0000
3.8723 6.7069 0.0000
0.0000 0.0000 6.4196
Ti I
2 6
Cartesian
0.0000 0.0000 3.2098
0.0000 0.0000 0.0000
2.2915 0.0000 4.8147
2.7265 -4.7225 4.8147
1.1457 -1.9845 1.6049
5.4530 0.0000 1.6049
2.7265 4.7225 4.8147
1.1457 1.9845 1.6049

TiI2 (PBE, relaxed); calculated formation energy = -0.86 eV per atom; E (MP2020) = -13.53 eV/cell; density = 5.10 g/cm³; DFT total energy = -4.258 eV per atom; symmetry = P-3m1, No. 164
1.0
-0.4808 0.7410 -3.7580
-2.7480 0.9807 2.5278
3.2805 6.8121 0.9234
Ti I
1 2
Cartesian
0.0000 0.0000 0.0000
-1.2329 2.4777 0.6463
1.2846 6.0561 -0.9531

TiI (PBE, relaxed); calculated formation energy = -0.08 eV per atom; E (MP2020) = -19.16 eV/cell; density = 5.69 g/cm³; DFT total energy = -4.600 eV per atom; symmetry = P6_3mc, No. 186
1.0
1.7814 -3.0855 0.0000
1.7814 3.0855 0.0000
0.0000 0.0000 9.2759
I Ti
2 2
Cartesian
1.7814 1.0285 0.3411
1.7814 -1.0285 4.9790
1.7814 1.0285 3.1374
1.7814 -1.0285 7.7753

TiI3 (PBE, relaxed); calculated formation energy = -1.09 eV per atom; E (MP2020) = -67.29 eV/cell; density = 4.36 g/cm³; DFT total energy = -3.922 eV per atom; symmetry = Pmmn, No. 59
1.0
6.4771 0.0000 0.0000
0.0000 7.6394 0.0000
0.0000 0.0000 13.1962
I Ti
12 4
Cartesian
0.0000 4.5655 2.0283
3.2385 3.0739 8.6264
3.2385 7.2069 6.5981
3.2385 3.4954 0.0000
0.0000 0.7907 8.5218
3.2385 3.0739 4.5698
0.0000 0.7907 4.6744
0.0000 4.5655 11.1679
0.0000 0.4326 0.0000
3.2385 6.8487 11.2725
3.2385 6.8487 1.9237
0.0000 4.1441 6.5981
1.7905 1.9055 6.5981
5.0290 5.7339 0.0000
4.6866 1.9055 6.5981
1.4481 5.7339 0.0000

TlI (PBE, relaxed); calculated formation energy = -0.87 eV per atom; excess energy over the best structure of this formula in the dataset = 0 meV/atom; E (MP2020) = -5.63 eV/cell; density = 6.05 g/cm³; DFT total energy = -2.624 eV per atom; symmetry = Fm-3m, No. 225
1.0
-3.5691 -3.5691 0.0000
-3.5691 0.0000 -3.5691
0.0000 -3.5691 -3.5691
I Tl
1 1
Cartesian
-3.5691 -3.5691 -3.5691
0.0000 0.0000 0.0000

TlI (PBE, relaxed); calculated formation energy = -0.85 eV per atom; excess energy over the best structure of this formula in the dataset = 23 meV/atom; E (MP2020) = -11.16 eV/cell; density = 6.55 g/cm³; DFT total energy = -2.601 eV per atom; symmetry = Cmcm, No. 63
1.0
-4.2989 0.2647 -5.6284
0.2736 -2.5731 6.5980
-2.1350 4.4967 1.8422
I Tl
2 2
Cartesian
-1.9339 1.1757 6.3586
-4.2264 1.0127 -3.5468
-3.0676 0.2935 -0.4483
-3.0927 1.8949 3.2601

TlI (PBE, relaxed); calculated formation energy = -0.82 eV per atom; excess energy over the best structure of this formula in the dataset = 51 meV/atom; E (MP2020) = -5.52 eV/cell; density = 6.98 g/cm³; DFT total energy = -2.573 eV per atom; symmetry = Pm-3m, No. 221
1.0
-4.2501 -0.2067 0.5268
0.4049 -3.8992 1.7367
0.3953 1.7712 3.8846
Tl I
1 1
Cartesian
0.0000 0.0000 0.0000
-1.7249 -1.1673 3.0740

Question: Among the records above, which one has the lowest E (MP2020)?
Answer: number 5